No. 1
Compound: Sr2Sb3
Source: Materials Project
Functional: r²SCAN
Structure: optimized geometry

**Magnetization**: 0.0 μB/f.u.
**Final energy**: -896.769 eV for the cell shown
**Formation enthalpy at 0 K**: -0.9372 eV/atom

a = 6.734 Å, b = 13.092 Å, c = 15.371 Å
α = 90.00°, β = 90.12°, γ = 90.00°
Space group P2_1/c (No. 14)
One atom of each set of equivalent atoms:
Sr (0.009, 0.222, 0.243) (multiplicity 4)
Sr (0.247, 0.127, 0.994) (multiplicity 4)
Sr (0.254, 0.624, 0.004) (multiplicity 4)
Sr (0.490, 0.528, 0.247) (multiplicity 4)
Sb (0.029, 0.030, 0.664) (multiplicity 4)
Sb (0.089, 0.547, 0.655) (multiplicity 4)
Sb (0.233, 0.115, 0.422) (multiplicity 4)
Sb (0.265, 0.632, 0.427) (multiplicity 4)
Sb (0.417, 0.704, 0.659) (multiplicity 4)
Sb (0.469, 0.223, 0.660) (multiplicity 4)

No. 2
Compound: MgCd3
Source: Materials Project
Functional: r²SCAN
Structure: optimized geometry

**Magnetization**: 0.0 μB/f.u.
**ΔE to the lowest computed polymorph**: 0.10 eV per formula unit
**Final energy**: -129.244 eV for the cell shown
**Formation enthalpy at 0 K**: -0.0344 eV/atom

a = 3.173 Å, b = 10.131 Å, c = 5.296 Å
α = 90.00°, β = 90.00°, γ = 90.00°
Space group Imm2 (No. 44)
One atom of each set of equivalent atoms:
Mg (0.000, 0.000, 0.000) (multiplicity 2)
Cd (0.000, 0.251, 0.334) (multiplicity 4)
Cd (0.000, 0.500, 0.003) (multiplicity 2)

No. 3
Compound: TmMgHg2
Source: Materials Project
Functional: r²SCAN
Structure: optimized geometry

**Magnetization**: 0.0 μB/f.u.
**Final energy**: -559.928 eV for the cell shown
**Formation enthalpy at 0 K**: -0.4890 eV/atom

a = 7.052 Å, b = 7.052 Å, c = 7.052 Å
α = 90.00°, β = 90.00°, γ = 90.00°
Space group Fm-3m (No. 225)
One atom of each set of equivalent atoms:
Tm (0.000, 0.000, 0.000) (multiplicity 4)
Mg (0.000, 0.000, 0.500) (multiplicity 4)
Hg (0.250, 0.250, 0.250) (multiplicity 8)

No. 4
Compound: CeCuGe
Source: Materials Project
Functional: r²SCAN
Structure: optimized geometry

**Magnetization**: 1.0 μB/f.u.
**Final energy**: -57.547 eV for the cell shown
**Formation enthalpy at 0 K**: -0.6625 eV/atom

a = 4.1842 Å, b = 4.1842 Å, c = 4.1136 Å
α = 90.00°, β = 90.00°, γ = 120.00°
Space group P-6m2 (No. 187)
One atom of each set of equivalent atoms:
Ce (0.0000, 0.0000, 0.0000) (multiplicity 1)
Cu (0.3333, 0.6667, 0.5000) (multiplicity 1)
Ge (0.6667, 0.3333, 0.5000) (multiplicity 1)